Entry from the Materials Project database: a relaxed structure of InIO5 (PBE).

Geometry as extended XYZ:
```
56
Lattice="-3.061 5.281 3.880 4.630 -2.461 7.003 10.393 8.801 -3.779" Properties=species:S:1:pos:R:3 pbc="T T T"
O 8.894 7.623 -2.637
O 5.681 1.936 5.218
O 2.697 2.600 1.960
O 2.608 2.449 4.754
O 11.123 6.322 3.543
O 12.772 8.728 2.803
O 11.890 10.143 5.688
O 11.117 8.792 0.176
O -0.810 2.893 4.302
O 8.147 11.255 3.881
O 9.161 4.658 1.609
O 6.059 6.960 6.654
O 7.691 9.699 -1.112
O 0.072 1.478 1.416
O 3.815 0.366 3.223
O 5.903 4.661 0.451
O 2.295 5.376 0.525
O 5.253 7.714 3.758
O 9.016 3.822 5.282
O 9.354 9.171 2.350
O 2.801 6.963 5.496
O 5.342 5.627 1.161
O 9.667 6.245 6.580
O 6.620 5.994 5.943
O 6.281 9.685 1.887
O 8.459 8.328 8.111
O 4.004 4.887 3.971
O 7.958 6.734 3.134
O 6.709 3.907 3.346
O 13.333 7.761 2.093
O -1.371 3.860 5.012
O 0.845 2.829 6.929
O 3.991 4.777 6.759
O 2.946 7.799 1.822
O 4.271 1.921 8.217
O 7.971 6.843 0.346
O 9.265 9.020 5.145
O 3.068 3.997 9.742
O 3.503 3.292 -1.006
O 0.839 5.299 3.562
I 11.840 5.635 5.042
I 0.122 5.985 2.063
I 8.160 9.385 3.777
I 2.831 5.088 5.421
I 5.500 10.323 0.401
I 3.802 2.236 3.327
I 6.462 1.297 6.703
I 9.131 6.532 1.684
In 3.666 7.041 0.051
In 2.315 -1.231 3.501
In 5.981 5.810 3.552
In 0.000 0.000 0.000
In 0.784 1.410 5.442
In -1.531 2.641 1.940
In 7.512 3.170 1.612
In 5.197 4.401 -1.889
```

Calculated formation energy, kJ per mole of atoms: -61.0
Space-group type: Pnma

***

Entry from the Materials Project database: a relaxed structure of Na3ScSiGeP2O12 (PBE).

Geometry as extended XYZ:
```
80
Lattice="-0.197 -0.767 -15.330 8.730 -1.856 -0.019 -1.446 -6.862 5.584" Properties=species:S:1:pos:R:3 pbc="T T T"
O 3.851 -6.278 1.788
O 5.744 -7.324 -7.253
O 3.982 -5.319 -3.306
O 1.941 -6.189 -4.611
O 5.174 -3.460 -10.257
O 1.622 -7.036 2.884
O 3.638 -1.661 -6.096
O 7.643 -4.728 1.434
O 6.213 -7.470 -9.773
O -0.893 -6.499 4.243
O 6.405 -6.733 3.045
O 0.908 -2.149 -2.582
O 5.227 -2.385 -12.662
O 7.575 -3.738 -3.995
O 3.374 -7.810 -3.432
O 5.144 -3.284 -7.408
O 3.817 -6.929 -8.861
O 1.947 -6.159 -2.098
O 5.949 -8.303 -1.800
O 5.660 -3.317 -2.377
O 0.658 -3.651 -7.569
O 5.923 -1.707 -0.286
O 0.877 -1.973 0.267
O 5.889 -8.348 -4.791
O 2.209 -5.328 -9.865
O 1.485 -7.758 -9.456
O 1.197 -2.772 -10.033
O 3.389 -2.595 -1.001
O 1.900 -4.437 2.513
O -0.612 -5.733 -5.867
O 3.111 -3.194 -11.650
O 6.167 -5.748 -5.162
O -0.450 -5.617 -1.187
O 0.635 -3.588 -4.579
O 6.293 -6.878 0.196
O 1.460 -1.163 -7.942
O 4.901 -4.899 -12.254
O 0.698 -2.713 -12.551
O 0.960 -1.074 -4.987
O 1.478 -6.012 0.422
O 1.830 -6.334 -7.460
O 6.672 -5.873 -2.210
O 3.180 -4.184 -6.222
O 7.905 -2.972 -13.771
O -0.481 -4.774 -10.962
O 7.656 -3.906 -8.676
O 5.122 -4.195 0.086
O 5.161 -3.257 -4.895
Si 0.498 -2.413 -8.569
Si 6.535 -7.281 -5.792
Si 2.268 -5.970 1.883
Si 4.962 -2.957 -0.914
Sc 5.661 -5.353 1.519
Sc 6.378 -2.325 -8.939
Sc 1.197 -4.809 -6.137
Sc 2.111 -1.014 -1.264
Na 3.216 -3.323 -8.887
Na 4.889 -8.405 1.693
Na 3.681 -7.006 -6.098
Na 3.110 -2.496 1.344
Na 7.377 -3.807 -6.331
Na 5.842 -5.427 -8.764
Na 4.156 -6.303 4.132
Na 0.426 -7.861 -5.962
Na 1.575 -4.116 -1.090
Na -0.586 -5.695 1.577
Na 7.679 -3.867 -1.231
Na -0.307 -5.759 -3.524
Ge 1.276 -4.143 -11.323
Ge 5.109 -8.542 -8.542
Ge 5.740 -4.687 -3.668
Ge 0.842 -7.231 -0.867
P 7.101 -7.698 -11.038
P 4.660 -3.499 -11.705
P 0.393 -2.188 -4.030
P 2.278 -6.578 -8.910
P 2.834 -6.387 -3.363
P -0.211 -2.559 -13.812
P 4.253 -3.104 -6.157
P 6.741 -7.122 -1.254
```

E above lowest polymorph, meV per atom: 3.1
Calculated formation energy, kJ per mole of atoms: -266.5

***

Entry from the Materials Project database: a relaxed structure of SiO2 (PBE).

Geometry as extended XYZ:
```
72
Lattice="-4.368 4.739 4.088 6.426 -3.468 10.888 8.960 10.058 -2.085" Properties=species:S:1:pos:R:3 pbc="T T T"
O -3.016 4.721 5.130
O 12.511 4.774 8.963
O 7.725 9.716 -0.484
O 7.693 8.230 6.933
O 1.927 0.890 5.520
O 2.707 6.323 2.263
O 0.939 5.242 8.049
O -0.049 1.956 2.172
O 3.292 1.613 13.375
O 10.691 4.710 7.030
O 12.028 7.387 9.260
O 7.584 7.220 11.830
O 5.822 3.644 6.599
O 9.551 8.252 8.831
O 8.236 2.341 10.689
O 5.196 7.685 6.293
O 4.417 5.400 5.160
O 9.091 10.439 7.372
O 3.325 3.099 5.958
O 10.264 8.339 6.271
O 8.311 5.006 10.629
O 8.214 4.633 6.040
O 10.190 3.566 9.388
O 0.878 2.916 9.284
O -1.493 6.555 3.928
O 9.491 9.795 1.465
O 2.804 6.696 6.851
O 5.198 3.157 4.051
O 11.067 9.372 10.720
O 1.466 3.076 4.061
O 2.782 8.988 2.202
O 12.323 7.531 4.865
O 10.140 8.413 3.607
O -1.306 3.798 8.027
O 10.079 6.086 4.842
O 3.433 4.109 1.062
O 0.327 6.619 5.862
O 6.601 5.929 7.732
O 3.336 7.707 4.432
O 5.820 8.172 8.840
O 14.033 6.608 7.762
O 0.828 7.762 3.503
O 10.125 6.917 11.054
O -1.011 3.942 3.632
O 0.754 2.989 6.621
O 0.892 4.411 1.838
O 7.682 3.621 8.459
O 1.526 1.533 11.427
Si 13.178 6.252 9.100
Si 9.153 8.814 7.350
Si 1.865 2.514 5.541
Si -0.319 7.449 4.612
Si 10.695 7.981 9.964
Si 0.320 3.737 7.994
Si 8.611 3.644 9.789
Si 11.336 3.880 8.279
Si -2.160 5.076 3.792
Si 1.224 6.616 7.226
Si 0.160 0.341 2.090
Si 4.689 3.821 5.442
Si 10.858 10.987 10.802
Si 6.328 7.508 7.450
Si 2.209 5.159 1.240
Si 3.930 6.862 5.684
Si 10.698 7.591 4.897
Si 9.334 11.809 8.220
Si 1.683 -0.481 4.671
Si 7.088 4.466 7.208
Si 2.407 7.685 3.103
Si 8.809 6.169 11.652
Si 0.322 3.347 2.928
Si 9.794 4.712 5.665
```

Calculated formation energy, kJ per mole of atoms: -314.2
Space-group type: Pnma

***

Entry from the Materials Project database: a relaxed structure of SiO2 (PBE).

Geometry as extended XYZ:
```
24
Lattice="4.747 0.000 0.000 0.000 8.168 0.000 0.000 0.000 8.600" Properties=species:S:1:pos:R:3 pbc="T T T"
O 0.000 4.084 4.300
O 2.374 4.084 0.000
O 0.000 0.000 0.000
O 0.408 4.521 1.721
O 1.965 7.732 1.721
O 3.560 6.126 3.104
O 1.187 2.042 5.496
O 2.782 3.647 2.579
O 3.560 6.126 7.405
O 1.187 2.042 1.196
O 1.965 4.521 6.021
O 0.408 7.732 6.021
O 2.782 0.437 6.879
O 2.374 0.000 4.300
O 4.339 3.647 6.879
O 4.339 0.437 2.579
Si 0.688 0.515 1.367
Si 1.686 0.515 5.668
Si 4.060 4.599 2.933
Si 4.060 7.654 7.233
Si 1.686 3.569 1.367
Si 3.061 4.599 7.233
Si 0.688 3.569 5.668
Si 3.061 7.654 2.933
```

Calculated formation energy, kJ per mole of atoms: -313.4
Space-group type: Pccn

***

Entry from the Materials Project database: a relaxed structure of Ca8Si4O15F3 (PBE).

Geometry as extended XYZ:
```
60
Lattice="10.566 0.000 0.000 0.000 7.637 0.000 0.000 3.677 10.459" Properties=species:S:1:pos:R:3 pbc="T T T"
Si 0.599 8.746 9.081
Si 9.961 2.544 3.934
Si 5.907 8.760 6.512
Si 9.967 6.908 3.851
Si 4.685 2.566 1.388
Si 5.881 4.405 6.618
Si 4.659 6.921 1.282
Si 0.605 4.383 9.164
F 2.621 4.731 4.099
F 2.691 8.517 4.116
F 7.945 6.570 9.328
F 7.891 4.774 1.099
F 2.675 6.613 6.329
F 7.875 10.356 9.346
Ca 3.635 10.339 8.370
Ca 6.997 4.759 3.323
Ca 4.047 6.588 4.339
Ca 4.034 2.855 4.471
Ca 6.519 8.426 9.569
Ca 6.532 4.693 9.701
Ca 9.282 2.897 0.879
Ca 8.837 6.569 7.136
Ca 8.937 2.795 7.298
Ca 1.729 4.730 1.906
Ca 3.569 6.598 8.553
Ca 9.300 6.615 0.797
Ca 1.285 4.736 6.108
Ca 1.266 8.454 6.026
Ca 6.931 8.501 3.141
Ca 1.629 0.957 2.069
O 5.585 3.001 2.687
O 5.060 0.926 1.270
O 5.102 10.153 10.230
O 0.303 3.069 2.691
O 10.452 6.384 5.320
O 4.984 8.236 7.755
O 5.506 2.765 6.500
O 10.263 4.907 7.920
O 0.297 6.487 2.543
O 5.582 6.398 2.526
O 2.175 8.509 8.769
O 7.477 8.561 6.899
O 0.146 1.172 0.221
O 10.269 8.325 7.773
O 5.408 4.931 5.147
O 4.981 4.840 7.917
O 8.391 6.670 3.539
O 5.464 8.314 5.001
O 2.181 4.628 8.849
O 3.089 6.722 1.669
O 3.106 2.775 1.718
O 8.029 0.923 1.058
O 8.385 2.790 3.619
O 7.460 4.614 6.948
O 10.327 8.550 3.974
O 2.537 2.762 6.287
O 0.114 4.545 0.090
O 5.158 6.769 10.377
O 0.239 10.389 9.204
O 10.420 3.011 5.451
```

Calculated formation energy, kJ per mole of atoms: -338.1
Space-group type: Pc

***

Entry from the Materials Project database: a relaxed structure of Rb2AlInCl6 (PBE).

Geometry as extended XYZ:
```
10
Lattice="0.000 5.381 5.381 5.381 0.000 5.381 5.381 5.381 0.000" Properties=species:S:1:pos:R:3 pbc="T T T"
In 5.381 5.381 5.381
Cl 5.381 2.354 5.381
Cl 5.381 5.381 8.408
Cl 8.408 5.381 5.381
Cl 2.354 5.381 5.381
Cl 5.381 5.381 2.354
Cl 5.381 8.408 5.381
Rb 8.071 8.071 8.071
Rb 2.690 2.690 2.690
Al 0.000 0.000 0.000
```

Calculated formation energy, kJ per mole of atoms: -185.6
Space-group type: Fm-3m

***

Entry from the Materials Project database: a relaxed structure of Na2LiAlH6 (PBE).

Geometry as extended XYZ:
```
10
Lattice="-3.687 2.413 2.746 -4.222 1.854 -2.388 -4.607 -2.282 0.728" Properties=species:S:1:pos:R:3 pbc="T T T"
Al 0.000 0.000 0.000
H -7.324 0.542 2.078
H -5.394 -0.722 0.640
H -7.604 0.249 -0.611
H -7.123 2.708 0.446
H -5.192 1.444 -0.992
H -4.912 1.737 1.697
Li -6.258 0.993 0.543
Na -9.387 1.489 0.815
Na -3.129 0.496 0.272
```

E above lowest polymorph, meV per atom: 4.0
Calculated formation energy, kJ per mole of atoms: -30.7
Space-group type: Fm-3m

***

Entry from the Materials Project database: a relaxed structure of Mg6AlC (PBE).

Geometry as extended XYZ:
```
8
Lattice="4.337 -5.024 0.000 4.337 5.024 0.000 0.000 0.000 3.512" Properties=species:S:1:pos:R:3 pbc="T T T"
Mg 2.108 -1.388 1.756
Mg 5.790 1.211 0.000
Mg 6.566 -1.388 1.756
Mg 4.337 -1.751 0.000
Mg 2.883 1.211 0.000
Mg 4.337 3.748 0.000
C 4.337 2.324 1.756
Al 4.337 -3.967 1.756
```

E above lowest polymorph, meV per atom: 0.0
Calculated formation energy, kJ per mole of atoms: 31.0
Space-group type: Amm2